Material: Rb3Zr
Method: DFT, PBE
State: relaxed

For the magnetic moment, the calculation gives 0.8873 μB per atom. As for the formation energy from the elements: 1.037 eV per atom. Its theoretical density is 2.4 g/cm³. The calculation puts the volume at 60.34 A^3/atom. Its calculated total energy is -1.84 eV per atom.

a b c (Å): 6.2261 6.2261 6.2261
angles (deg): 90.00 90.00 90.00
Positions (direct):
Zr  0.0000  0.0000  0.0000
Rb  0.5000  0.5000  0.0000
Rb  0.0000  0.5000  0.5000
Rb  0.5000  0.0000  0.5000